This record from the Materials Project describes a relaxed structure of ZnCrO4. The functional is meta-GGA r2SCAN.

Calculated values
- E: -466.39 eV per cell
- Energy above the lowest structure with this stoichiometry: 19.8 meV/atom

Cell and atoms, written as CIF:
```
data_ZnCrO4
_space_group_name_H-M_alt 'C 1 2/m 1'
_space_group_IT_number 12
_space_group_name_Hall '-C 2y'
_cell_length_a 9.920
_cell_length_b 9.118
_cell_length_c 6.732
_cell_angle_alpha 90.00
_cell_angle_beta 104.28
_cell_angle_gamma 90.00
loop_
_atom_site_label
_atom_site_type_symbol
_atom_site_fract_x
_atom_site_fract_y
_atom_site_fract_z
_atom_site_occupancy
Zn1 Zn 0.000 0.182 0.000 1
Zn2 Zn 0.205 0.000 0.365 1
Cr1 Cr 0.000 0.255 0.500 1
Cr2 Cr 0.225 0.500 0.088 1
O1 O 0.044 0.155 0.315 1
O2 O 0.135 0.353 0.606 1
O3 O 0.136 0.351 0.020 1
O4 O 0.143 0.000 0.038 1
O5 O 0.212 0.000 0.665 1
```